Density functional theory data (PBE) for a relaxed TbMgIn crystal.

Cell lengths 7.5647, 7.5647, 4.6784 Å; angles 90.00, 90.00, 120.00 degrees
Last column: nearest neighbours and their distance in Å.
Space group P-62m (No. 189)
Inequivalent atoms, fractional coordinates:
Tb 0.0000 0.5697 0.0000 [3 per cell]  5 In 3.24-3.25, 2 Mg 3.40
Mg 0.0000 0.2429 0.5000 [3 per cell]  4 In 2.92-2.97, 2 Mg 3.18
In 0.0000 0.0000 0.0000 [1 per cell]  6 Mg 2.97, 3 Tb 3.25
In 0.3333 0.6667 0.5000 [2 per cell]  3 Mg 2.92, 6 Tb 3.24

## Properties
**Energy relative to the elements**: -1.2 eV/f.u.